# Na2CuBiBr6

An optimized crystal structure of Na2CuBiBr6 (GGA-PBE, Materials Project).

POSCAR file:
```
Na2CuBiBr6
1.0
0.0000 5.4794 5.4794
5.4794 0.0000 5.4794
5.4794 5.4794 0.0000
Cu Br Na Bi
1 6 2 1
Direct
0.5000 0.5000 0.5000 Cu
0.7388 0.2612 0.2612 Br
0.2612 0.2612 0.7388 Br
0.7388 0.7388 0.2612 Br
0.2612 0.7388 0.7388 Br
0.2612 0.7388 0.2612 Br
0.7388 0.2612 0.7388 Br
0.2500 0.2500 0.2500 Na
0.7500 0.7500 0.7500 Na
0.0000 0.0000 0.0000 Bi
```

Values from the calculation:
Its total energy is -28.7 eV for the cell shown. The formation energy comes out at -1146 meV/atom. The mass density is 4.03 g/cm3. The magnetic moment is 0.0 μB/cell.

# Cu3BiSe2BrO8

An optimized crystal structure of Cu3BiSe2BrO8 (GGA-PBE, Materials Project).

POSCAR file:
```
Cu3BiSe2BrO8
1.0
6.4474 0.0000 0.0000
0.0000 7.3653 0.0000
0.0000 0.0000 9.7864
Se O Cu Bi Br
4 16 6 2 2
Direct
0.5000 0.6110 0.8069 Se
0.0000 0.3890 0.3069 Se
0.0000 0.3890 0.6931 Se
0.5000 0.6110 0.1931 Se
0.5000 0.9900 0.6360 O
0.2888 0.7558 0.8344 O
0.7888 0.2442 0.6656 O
0.7112 0.7558 0.1656 O
0.0000 0.0100 0.1360 O
0.2112 0.2442 0.6656 O
0.5000 0.5886 0.3673 O
0.2888 0.7558 0.1656 O
0.2112 0.2442 0.3344 O
0.5000 0.9900 0.3640 O
0.0000 0.4114 0.8673 O
0.7112 0.7558 0.8344 O
0.0000 0.0100 0.8640 O
0.5000 0.5886 0.6327 O
0.0000 0.4114 0.1327 O
0.7888 0.2442 0.3344 O
0.7500 0.0000 0.7500 Cu
0.2500 0.0000 0.2500 Cu
0.2500 0.0000 0.7500 Cu
0.0000 0.2068 0.0000 Cu
0.7500 0.0000 0.2500 Cu
0.5000 0.7932 0.5000 Cu
0.0000 0.7551 0.0000 Bi
0.5000 0.2449 0.5000 Bi
0.5000 0.1585 0.0000 Br
0.0000 0.8415 0.5000 Br
```

Values from the calculation:
Its total energy is -152.5 eV for the cell shown. The formation energy comes out at -1157 meV/atom. The mass density is 5.47 g/cm3. The magnetic moment is 6.0 μB/cell.

# GaBi4Br4

An optimized crystal structure of GaBi4Br4 (GGA-PBE, Materials Project).

POSCAR file:
```
GaBi4Br4
1.0
-8.8186 -3.7236 4.4639
7.5890 -4.8083 10.9816
-2.4651 16.5868 8.9660
Bi Ga Br
32 8 32
Direct
0.3634 0.8881 0.7987 Bi
0.6125 0.0861 0.1791 Bi
0.5376 0.2271 0.2969 Bi
0.2906 0.7477 0.9162 Bi
0.9624 0.2271 0.7969 Bi
0.1366 0.8881 0.2987 Bi
0.3224 0.1377 0.1998 Bi
0.6776 0.6377 0.8002 Bi
0.8875 0.0861 0.6791 Bi
0.1615 0.3541 0.7159 Bi
0.5420 0.8701 0.9322 Bi
0.0588 0.1528 0.5516 Bi
0.9412 0.6528 0.4484 Bi
0.4624 0.7271 0.7031 Bi
0.2094 0.7477 0.4162 Bi
0.4580 0.3701 0.0678 Bi
0.6615 0.8541 0.7841 Bi
0.0376 0.7271 0.2031 Bi
0.1776 0.1377 0.6998 Bi
0.7906 0.2477 0.5838 Bi
0.4412 0.1528 0.0516 Bi
0.3385 0.3541 0.2159 Bi
0.6366 0.3881 0.2013 Bi
0.5588 0.6528 0.9484 Bi
0.3875 0.5861 0.8209 Bi
0.0420 0.3701 0.5678 Bi
0.9580 0.8701 0.4322 Bi
0.8224 0.6377 0.3002 Bi
0.1125 0.5861 0.3209 Bi
0.7094 0.2477 0.0838 Bi
0.8385 0.8541 0.2841 Bi
0.8634 0.3881 0.7013 Bi
0.5217 0.2971 0.8251 Ga
0.0217 0.7971 0.6749 Ga
0.5061 0.9849 0.5019 Ga
0.4939 0.4849 0.4981 Ga
0.4783 0.7971 0.1749 Ga
0.0061 0.4849 0.9981 Ga
0.9939 0.9849 0.0019 Ga
0.9783 0.2971 0.3251 Ga
0.3206 0.0351 0.4416 Br
0.5603 0.1344 0.8137 Br
0.4984 0.3649 0.7114 Br
0.6794 0.5351 0.5584 Br
0.3141 0.5513 0.5552 Br
0.5032 0.0410 0.6193 Br
0.3310 0.3177 0.8891 Br
0.8122 0.3761 0.3842 Br
0.5016 0.8649 0.2886 Br
0.6859 0.0513 0.4448 Br
0.8141 0.0513 0.9448 Br
0.0032 0.5410 0.8807 Br
0.1794 0.0351 0.9416 Br
0.9801 0.8188 0.9990 Br
0.3122 0.8761 0.1158 Br
0.6690 0.8177 0.1109 Br
0.1859 0.5513 0.0552 Br
0.1690 0.3177 0.3891 Br
0.6878 0.3761 0.8842 Br
0.4397 0.6344 0.1863 Br
0.0016 0.3649 0.2114 Br
0.8310 0.8177 0.6109 Br
0.5199 0.8188 0.4990 Br
0.9968 0.0410 0.1193 Br
0.1878 0.8761 0.6158 Br
0.0199 0.3188 0.0010 Br
0.9397 0.1344 0.3137 Br
0.0603 0.6344 0.6863 Br
0.9984 0.8649 0.7886 Br
0.8206 0.5351 0.0584 Br
0.4968 0.5410 0.3807 Br
0.4801 0.3188 0.5010 Br
```

Values from the calculation:
Its total energy is -235.9 eV for the cell shown. The formation energy comes out at -721 meV/atom. The mass density is 5.71 g/cm3. The magnetic moment is 0.0 μB/cell.

# Hg6BiSb4Br7

An optimized crystal structure of Hg6BiSb4Br7 (GGA-PBE, Materials Project).

POSCAR file:
```
Hg6BiSb4Br7
1.0
13.3902 0.0000 0.0000
0.0000 13.3902 0.0000
0.0000 0.0000 13.3902
Br Sb Hg Bi
28 16 24 4
Direct
0.9499 0.2060 0.4555 Br
0.0445 0.0501 0.7060 Br
0.5000 0.5000 0.0000 Br
0.4555 0.9499 0.2060 Br
0.2060 0.0445 0.4499 Br
0.2060 0.4555 0.9499 Br
0.0445 0.4499 0.2060 Br
0.9499 0.2940 0.9555 Br
0.4499 0.2940 0.5445 Br
0.0000 0.0000 0.0000 Br
0.2940 0.5445 0.4499 Br
0.5000 0.0000 0.5000 Br
0.0501 0.7940 0.5445 Br
0.4555 0.5501 0.7060 Br
0.7060 0.0445 0.0501 Br
0.0501 0.7060 0.0445 Br
0.5445 0.4499 0.2940 Br
0.9555 0.5501 0.7940 Br
0.5445 0.0501 0.7940 Br
0.9555 0.9499 0.2940 Br
0.4499 0.2060 0.0445 Br
0.7060 0.4555 0.5501 Br
0.5501 0.7060 0.4555 Br
0.0000 0.5000 0.5000 Br
0.7940 0.9555 0.5501 Br
0.2940 0.9555 0.9499 Br
0.5501 0.7940 0.9555 Br
0.7940 0.5445 0.0501 Br
0.7618 0.2618 0.2382 Sb
0.1358 0.3642 0.6358 Sb
0.8642 0.6358 0.3642 Sb
0.1358 0.1358 0.1358 Sb
0.2618 0.2382 0.7618 Sb
0.7382 0.7618 0.2382 Sb
0.7618 0.2382 0.7382 Sb
0.3642 0.8642 0.6358 Sb
0.8642 0.8642 0.8642 Sb
0.7382 0.7382 0.7382 Sb
0.2618 0.2618 0.2618 Sb
0.6358 0.3642 0.8642 Sb
0.6358 0.1358 0.3642 Sb
0.3642 0.6358 0.1358 Sb
0.2382 0.7618 0.2618 Sb
0.2382 0.7382 0.7618 Sb
0.3141 0.6996 0.9475 Hg
0.0525 0.8141 0.8004 Hg
0.0525 0.6859 0.3004 Hg
0.3141 0.8004 0.4475 Hg
0.3004 0.0525 0.6859 Hg
0.1996 0.5525 0.6859 Hg
0.9475 0.3141 0.6996 Hg
0.1996 0.9475 0.1859 Hg
0.3004 0.4475 0.1859 Hg
0.6996 0.9475 0.3141 Hg
0.8141 0.6996 0.5525 Hg
0.8004 0.4475 0.3141 Hg
0.6859 0.1996 0.5525 Hg
0.1859 0.1996 0.9475 Hg
0.1859 0.3004 0.4475 Hg
0.5525 0.8141 0.6996 Hg
0.8004 0.0525 0.8141 Hg
0.5525 0.6859 0.1996 Hg
0.6859 0.3004 0.0525 Hg
0.8141 0.8004 0.0525 Hg
0.6996 0.5525 0.8141 Hg
0.4475 0.1859 0.3004 Hg
0.4475 0.3141 0.8004 Hg
0.9475 0.1859 0.1996 Hg
0.5000 0.0000 0.0000 Bi
0.0000 0.0000 0.5000 Bi
0.0000 0.5000 0.0000 Bi
0.5000 0.5000 0.5000 Bi
```

Values from the calculation:
Its total energy is -162.2 eV for the cell shown. The formation energy comes out at -589 meV/atom. The mass density is 6.80 g/cm3.

# HoBi2BrO4

An optimized crystal structure of HoBi2BrO4 (GGA-PBE, Materials Project).

POSCAR file:
```
HoBi2BrO4
1.0
-1.3866 -0.4045 3.6286
3.0249 -2.3009 0.8994
4.8896 7.4848 2.7027
Bi O Ho Br
2 4 1 1
Direct
0.5000 0.5000 0.7325 Bi
0.5000 0.5000 0.2675 Bi
0.5000 0.0000 0.1468 O
0.5000 0.0000 0.8532 O
0.0000 0.5000 0.1468 O
0.0000 0.5000 0.8532 O
0.0000 0.0000 0.0000 Ho
0.0000 0.0000 0.5000 Br
```

Values from the calculation:
Its total energy is -49.9 eV for the cell shown. The formation energy comes out at -2354 meV/atom. The mass density is 8.47 g/cm3. The magnetic moment is 0.0 μB/cell.

# Bi4I3Br

An optimized crystal structure of Bi4I3Br (GGA-PBE, Materials Project).

POSCAR file:
```
Bi4I3Br
1.0
1.9279 7.6110 1.7264
-3.2960 -5.2194 -5.1497
-18.5211 2.6005 9.2183
Bi I Br
8 6 2
Direct
0.7421 0.2579 0.3688 Bi
0.9351 0.0649 0.0046 Bi
0.7018 0.2982 0.5142 Bi
0.2982 0.7018 0.0142 Bi
0.2579 0.7421 0.8688 Bi
0.0284 0.9716 0.6506 Bi
0.9716 0.0284 0.1506 Bi
0.0649 0.9351 0.5046 Bi
0.8878 0.1122 0.8224 I
0.1122 0.8878 0.3224 I
0.3795 0.6205 0.4014 I
0.3883 0.6117 0.6264 I
0.6117 0.3883 0.1264 I
0.6205 0.3795 0.9014 I
0.6472 0.3528 0.6865 Br
0.3528 0.6472 0.1865 Br
```

Values from the calculation:
Its total energy is -48.9 eV for the cell shown. The formation energy comes out at -404 meV/atom. The mass density is 6.08 g/cm3. The magnetic moment is 0.0 μB/cell.

# InBi37Br48

An optimized crystal structure of InBi37Br48 (GGA-PBE, Materials Project).

POSCAR file:
```
InBi37Br48
1.0
11.4594 -19.8483 0.0000
11.4594 19.8483 0.0000
0.0000 0.0000 13.3879
Br Bi In
96 74 2
Direct
0.7781 0.3673 0.5598 Br
0.7692 0.4769 0.3633 Br
0.4554 0.2906 0.0769 Br
0.2333 0.3692 0.8216 Br
0.3692 0.1359 0.3216 Br
0.6308 0.8641 0.8216 Br
0.6453 0.4349 0.9888 Br
0.1648 0.4554 0.5769 Br
0.6710 0.0270 0.3359 Br
0.8928 0.4146 0.2784 Br
0.9740 0.3278 0.5524 Br
0.2308 0.5231 0.8633 Br
0.3278 0.3538 0.0524 Br
0.7094 0.1648 0.0769 Br
0.9231 0.0406 0.6843 Br
0.1990 0.0394 0.4422 Br
0.6722 0.6462 0.5524 Br
0.6667 0.3333 0.7879 Br
0.9157 0.4274 0.7382 Br
0.8641 0.2333 0.3216 Br
0.8442 0.0789 0.1769 Br
0.5116 0.0843 0.7382 Br
0.0968 0.7108 0.5607 Br
0.0440 0.8401 0.4354 Br
0.4886 0.5112 0.5048 Br
0.0394 0.8403 0.9422 Br
0.2104 0.6453 0.4888 Br
0.0000 0.0000 0.9288 Br
0.4146 0.5218 0.7784 Br
0.4782 0.8928 0.7784 Br
0.8825 0.9231 0.1843 Br
0.4108 0.7781 0.0598 Br
0.9211 0.7653 0.1769 Br
0.5726 0.4884 0.7382 Br
0.4274 0.5116 0.2382 Br
0.6667 0.3333 0.1892 Br
0.0789 0.2347 0.6769 Br
0.3333 0.6667 0.2879 Br
0.2039 0.0440 0.9354 Br
0.4888 0.9774 0.5048 Br
0.5112 0.0226 0.0048 Br
0.3547 0.5651 0.4888 Br
0.3561 0.3290 0.3359 Br
0.2892 0.3861 0.5607 Br
0.0000 0.0000 0.4288 Br
0.7076 0.2308 0.3633 Br
0.5854 0.4782 0.2784 Br
0.0843 0.5726 0.2382 Br
0.5892 0.2219 0.5598 Br
0.0270 0.3561 0.8359 Br
0.7653 0.8442 0.6769 Br
0.1175 0.0769 0.6843 Br
0.3290 0.9730 0.8359 Br
0.1597 0.1990 0.9422 Br
0.8401 0.7961 0.9354 Br
0.9730 0.6439 0.3359 Br
0.3673 0.5892 0.0598 Br
0.1558 0.9211 0.6769 Br
0.2924 0.7692 0.8633 Br
0.6327 0.4108 0.5598 Br
0.9560 0.1599 0.9354 Br
0.1072 0.5854 0.7784 Br
0.3861 0.0968 0.0607 Br
0.3333 0.6667 0.6892 Br
0.9594 0.8825 0.6843 Br
0.6462 0.9740 0.0524 Br
0.9774 0.4886 0.0048 Br
0.8010 0.9606 0.9422 Br
0.8352 0.5446 0.0769 Br
0.1599 0.2039 0.4354 Br
0.7667 0.6308 0.3216 Br
0.0260 0.6722 0.0524 Br
0.7961 0.9560 0.4354 Br
0.5446 0.7094 0.5769 Br
0.4769 0.7076 0.8633 Br
0.7108 0.6139 0.0607 Br
0.0406 0.1175 0.1843 Br
0.5231 0.2924 0.3633 Br
0.7896 0.3547 0.9888 Br
0.1359 0.7667 0.8216 Br
0.6139 0.9032 0.5607 Br
0.8403 0.8010 0.4422 Br
0.5114 0.4888 0.0048 Br
0.5651 0.2104 0.9888 Br
0.2219 0.6327 0.0598 Br
0.4349 0.7896 0.4888 Br
0.5218 0.1072 0.2784 Br
0.0226 0.5114 0.5048 Br
0.6439 0.6710 0.8359 Br
0.9606 0.1597 0.4422 Br
0.4884 0.9157 0.2382 Br
0.0769 0.9594 0.1843 Br
0.2906 0.8352 0.5769 Br
0.9032 0.2892 0.0607 Br
0.3538 0.0260 0.5524 Br
0.2347 0.1558 0.1769 Br
0.2426 0.9831 0.2152 Bi
0.0961 0.4420 0.0816 Bi
0.9155 0.0433 0.0559 Bi
0.5925 0.0388 0.1649 Bi
0.0169 0.2595 0.2152 Bi
0.3591 0.9617 0.2990 Bi
0.3073 0.8070 0.2683 Bi
0.5220 0.8064 0.6950 Bi
0.1278 0.0845 0.0559 Bi
0.9612 0.5536 0.1649 Bi
0.3293 0.2115 0.8961 Bi
0.8012 0.2379 0.5856 Bi
0.6881 0.7862 0.0141 Bi
0.0845 0.9567 0.5559 Bi
0.7621 0.5633 0.5856 Bi
0.6927 0.1930 0.7683 Bi
0.7862 0.0981 0.5141 Bi
0.7885 0.1178 0.8961 Bi
0.4420 0.3459 0.5816 Bi
0.9567 0.8722 0.0559 Bi
0.7346 0.5830 0.8171 Bi
0.3119 0.2138 0.5141 Bi
0.3974 0.3591 0.7990 Bi
0.7166 0.8860 0.1983 Bi
0.9617 0.6026 0.7990 Bi
0.8070 0.4997 0.7683 Bi
0.8860 0.1694 0.6983 Bi
0.8484 0.2654 0.8171 Bi
0.2138 0.9019 0.0141 Bi
0.7156 0.5220 0.1950 Bi
0.6026 0.6409 0.2990 Bi
0.2115 0.8822 0.3961 Bi
0.9831 0.7405 0.7152 Bi
0.4780 0.1936 0.1950 Bi
0.2834 0.1140 0.6983 Bi
0.6409 0.0383 0.7990 Bi
0.8722 0.9155 0.5559 Bi
0.4367 0.1988 0.5856 Bi
0.2654 0.4170 0.3171 Bi
0.1178 0.3293 0.3961 Bi
0.2379 0.4367 0.0856 Bi
0.0383 0.3974 0.2990 Bi
0.5580 0.6541 0.0816 Bi
0.1930 0.5003 0.2683 Bi
0.1516 0.7346 0.3171 Bi
0.5633 0.8012 0.0856 Bi
0.1936 0.7156 0.6950 Bi
0.2595 0.2426 0.7152 Bi
0.1988 0.7621 0.0856 Bi
0.1140 0.8306 0.1983 Bi
0.5830 0.8484 0.3171 Bi
0.8306 0.7166 0.6983 Bi
0.3333 0.6667 0.9384 Bi
0.2844 0.4780 0.6950 Bi
0.3459 0.9039 0.0816 Bi
0.7574 0.0169 0.7152 Bi
0.5003 0.3073 0.7683 Bi
0.6707 0.7885 0.3961 Bi
0.0433 0.1278 0.5559 Bi
0.0388 0.4464 0.6649 Bi
0.4075 0.9612 0.6649 Bi
0.4464 0.4075 0.1649 Bi
0.4997 0.6927 0.2683 Bi
0.8822 0.6707 0.8961 Bi
0.0981 0.3119 0.0141 Bi
0.9039 0.5580 0.5816 Bi
0.8064 0.2844 0.1950 Bi
0.6667 0.3333 0.4384 Bi
0.6541 0.0961 0.5816 Bi
0.5536 0.5925 0.6649 Bi
0.7405 0.7574 0.2152 Bi
0.1694 0.2834 0.1983 Bi
0.9019 0.6881 0.5141 Bi
0.4170 0.1516 0.8171 Bi
0.3333 0.6667 0.4884 In
0.6667 0.3333 0.9884 In
```

Values from the calculation:
Its total energy is -540.9 eV for the cell shown. The formation energy comes out at -824 meV/atom. The mass density is 6.37 g/cm3. The magnetic moment is 0.0 μB/cell.

# InBi2Se4Br

An optimized crystal structure of InBi2Se4Br (GGA-PBE, Materials Project).

POSCAR file:
```
InBi2Se4Br
1.0
2.0860 10.6294 0.0000
-2.0860 10.6294 0.0000
0.0000 5.9970 10.7954
Se Br Bi In
8 2 4 2
Direct
0.7147 0.7147 0.6518 Se
0.1781 0.1781 0.1436 Se
0.5965 0.5965 0.9772 Se
0.0391 0.0391 0.7783 Se
0.4035 0.4035 0.0228 Se
0.2853 0.2853 0.3482 Se
0.8219 0.8219 0.8564 Se
0.9609 0.9609 0.2217 Se
0.3979 0.3979 0.5298 Br
0.6021 0.6021 0.4702 Br
0.5495 0.5495 0.2289 Bi
0.2027 0.2027 0.9031 Bi
0.7973 0.7973 0.0969 Bi
0.4505 0.4505 0.7711 Bi
0.8371 0.8371 0.4372 In
0.1629 0.1629 0.5628 In
```

Values from the calculation:
Its total energy is -59.9 eV for the cell shown. The formation energy comes out at -541 meV/atom. The mass density is 6.44 g/cm3. The magnetic moment is 0.0 μB/cell.